1.
VASP calculation (GGA+U) on a relaxed CaCrSi2O6 crystal.

Output
Offset from the most stable computed form: 0 meV per atom
Energy with MP2020 corrections: -331.5 eV for the cell shown

Cell: 5.308 6.900 13.711 Å, 90.60 100.16 77.92°
Atoms (fractional coordinates):
1 Ca 0.101 0.299 0.351
2 Ca 0.601 0.299 0.851
3 Ca 0.399 0.701 0.149
4 Ca 0.899 0.701 0.649
5 Cr 0.202 0.096 0.952
6 Cr 0.298 0.904 0.548
7 Cr 0.702 0.095 0.452
8 Cr 0.798 0.905 0.048
9 Si 0.459 0.194 0.189
10 Si 0.959 0.194 0.689
11 Si 0.633 0.623 0.403
12 Si 0.133 0.623 0.903
13 Si 0.867 0.377 0.097
14 Si 0.367 0.377 0.597
15 Si 0.041 0.806 0.311
16 Si 0.541 0.806 0.811
17 O 0.688 0.326 0.181
18 O 0.188 0.326 0.681
19 O 0.330 0.637 0.337
20 O 0.830 0.637 0.837
21 O 0.812 0.674 0.319
22 O 0.312 0.674 0.819
23 O 0.170 0.363 0.163
24 O 0.670 0.363 0.663
25 O 0.474 0.124 0.301
26 O 0.974 0.124 0.801
27 O 0.765 0.398 0.438
28 O 0.265 0.398 0.938
29 O 0.026 0.876 0.199
30 O 0.526 0.876 0.699
31 O 0.735 0.602 0.062
32 O 0.235 0.602 0.562
33 O 0.871 0.212 0.011
34 O 0.371 0.212 0.511
35 O 0.034 0.977 0.394
36 O 0.534 0.977 0.894
37 O 0.466 0.023 0.106
38 O 0.966 0.023 0.606
39 O 0.629 0.788 0.489
40 O 0.129 0.788 0.989

2.
VASP calculation (GGA+U) on a relaxed CaCrSi2O6 crystal.

Output
Offset from the most stable computed form: 18 meV per atom
Energy with MP2020 corrections: -661.5 eV for the cell shown

Cell: 5.461 19.286 9.701 Å, 90.00 90.00 90.00°
Atoms (fractional coordinates):
1 Ca 0.118 0.124 0.146
2 Ca 0.118 0.376 0.646
3 Ca 0.382 0.624 0.146
4 Ca 0.382 0.876 0.646
5 Ca 0.618 0.124 0.354
6 Ca 0.618 0.376 0.854
7 Ca 0.882 0.624 0.354
8 Ca 0.882 0.876 0.854
9 Cr 0.126 0.125 0.525
10 Cr 0.126 0.375 0.025
11 Cr 0.374 0.625 0.525
12 Cr 0.374 0.875 0.025
13 Cr 0.626 0.125 0.975
14 Cr 0.626 0.375 0.475
15 Cr 0.874 0.625 0.975
16 Cr 0.874 0.875 0.475
17 Si 0.065 0.725 0.668
18 Si 0.065 0.775 0.168
19 Si 0.247 0.022 0.835
20 Si 0.247 0.478 0.335
21 Si 0.253 0.522 0.835
22 Si 0.253 0.978 0.335
23 Si 0.435 0.225 0.668
24 Si 0.435 0.275 0.168
25 Si 0.565 0.725 0.832
26 Si 0.565 0.775 0.332
27 Si 0.747 0.022 0.665
28 Si 0.747 0.478 0.165
29 Si 0.753 0.522 0.665
30 Si 0.753 0.978 0.165
31 Si 0.935 0.225 0.832
32 Si 0.935 0.275 0.332
33 O 0.040 0.542 0.716
34 O 0.040 0.958 0.216
35 O 0.045 0.692 0.164
36 O 0.045 0.808 0.664
37 O 0.068 0.686 0.521
38 O 0.068 0.814 0.021
39 O 0.160 0.196 0.729
40 O 0.160 0.304 0.229
41 O 0.187 0.569 0.967
42 O 0.187 0.931 0.467
43 O 0.249 0.562 0.355
44 O 0.249 0.938 0.855
45 O 0.251 0.062 0.355
46 O 0.251 0.438 0.855
47 O 0.313 0.069 0.967
48 O 0.313 0.431 0.467
49 O 0.340 0.696 0.729
50 O 0.340 0.804 0.229
51 O 0.432 0.186 0.521
52 O 0.432 0.314 0.021
53 O 0.455 0.192 0.164
54 O 0.455 0.308 0.664
55 O 0.460 0.042 0.716
56 O 0.460 0.458 0.216
57 O 0.540 0.542 0.784
58 O 0.540 0.958 0.284
59 O 0.545 0.692 0.336
60 O 0.545 0.808 0.836
61 O 0.568 0.686 0.979
62 O 0.568 0.814 0.479
63 O 0.660 0.196 0.771
64 O 0.660 0.304 0.271
65 O 0.687 0.569 0.533
66 O 0.687 0.931 0.033
67 O 0.749 0.562 0.145
68 O 0.749 0.938 0.645
69 O 0.751 0.062 0.145
70 O 0.751 0.438 0.645
71 O 0.813 0.069 0.533
72 O 0.813 0.431 0.033
73 O 0.840 0.696 0.771
74 O 0.840 0.804 0.271
75 O 0.932 0.186 0.979
76 O 0.932 0.314 0.479
77 O 0.955 0.192 0.336
78 O 0.955 0.308 0.836
79 O 0.960 0.042 0.784
80 O 0.960 0.458 0.284

3.
VASP calculation (GGA+U) on a relaxed CaSmCrO4 crystal.

Output
Energy with MP2020 corrections: -116.5 eV for the cell shown

Cell: 6.493 6.493 5.630 Å, 90.00 90.00 130.64°
Atoms (fractional coordinates):
1 Ca 0.103 0.897 0.500
2 Ca 0.897 0.103 0.000
3 Sm 0.388 0.612 0.462
4 Sm 0.612 0.388 0.962
5 Cr 0.250 0.750 0.980
6 Cr 0.750 0.250 0.480
7 O 0.022 0.477 0.731
8 O 0.082 0.918 0.919
9 O 0.425 0.575 0.050
10 O 0.477 0.022 0.231
11 O 0.523 0.978 0.731
12 O 0.575 0.425 0.550
13 O 0.918 0.082 0.419
14 O 0.978 0.523 0.231

4.
VASP calculation (GGA+U) on a relaxed Sr4CaCr5O15 crystal.

Output
Energy with MP2020 corrections: -194.7 eV for the cell shown

Cell: 11.600 11.600 11.600 Å, 27.32 27.32 27.32°
Atoms (fractional coordinates):
1 Sr 0.100 0.100 0.100
2 Sr 0.300 0.300 0.300
3 Sr 0.700 0.700 0.700
4 Sr 0.900 0.900 0.900
5 Ca 0.500 0.500 0.500
6 Cr 0.000 0.000 0.000
7 Cr 0.200 0.200 0.200
8 Cr 0.400 0.400 0.400
9 Cr 0.600 0.600 0.600
10 Cr 0.800 0.800 0.800
11 O 0.000 0.000 0.500
12 O 0.000 0.500 0.000
13 O 0.105 0.598 0.598
14 O 0.203 0.203 0.696
15 O 0.203 0.696 0.203
16 O 0.304 0.797 0.797
17 O 0.402 0.402 0.895
18 O 0.402 0.895 0.402
19 O 0.500 0.000 0.000
20 O 0.598 0.105 0.598
21 O 0.598 0.598 0.105
22 O 0.696 0.203 0.203
23 O 0.797 0.304 0.797
24 O 0.797 0.797 0.304
25 O 0.895 0.402 0.402

5.
VASP calculation (GGA+U) on a relaxed Sr18Ca3Cr14O56 crystal.

Output
Energy with MP2020 corrections: -689.8 eV for the cell shown

Cell: 14.929 14.929 14.929 Å, 44.26 44.26 44.26°
Atoms (fractional coordinates):
1 Sr 0.000 0.009 0.597
2 Sr 0.009 0.597 0.000
3 Sr 0.087 0.515 0.502
4 Sr 0.286 0.869 0.844
5 Sr 0.345 0.367 0.780
6 Sr 0.367 0.780 0.345
7 Sr 0.388 0.987 0.410
8 Sr 0.410 0.388 0.987
9 Sr 0.484 0.889 0.912
10 Sr 0.502 0.087 0.515
11 Sr 0.515 0.502 0.087
12 Sr 0.597 0.000 0.009
13 Sr 0.780 0.345 0.367
14 Sr 0.844 0.286 0.869
15 Sr 0.869 0.844 0.286
16 Sr 0.889 0.912 0.484
17 Sr 0.912 0.484 0.889
18 Sr 0.987 0.410 0.388
19 Ca 0.434 0.434 0.434
20 Ca 0.633 0.633 0.633
21 Ca 0.935 0.935 0.935
22 Cr 0.121 0.657 0.625
23 Cr 0.124 0.158 0.619
24 Cr 0.158 0.619 0.124
25 Cr 0.201 0.201 0.201
26 Cr 0.210 0.239 0.756
27 Cr 0.239 0.756 0.210
28 Cr 0.265 0.734 0.706
29 Cr 0.619 0.124 0.158
30 Cr 0.625 0.121 0.657
31 Cr 0.657 0.625 0.121
32 Cr 0.703 0.703 0.703
33 Cr 0.706 0.265 0.734
34 Cr 0.734 0.706 0.265
35 Cr 0.756 0.210 0.239
36 O 0.022 0.335 0.582
37 O 0.038 0.333 0.771
38 O 0.040 0.630 0.609
39 O 0.044 0.194 0.328
40 O 0.055 0.068 0.801
41 O 0.060 0.804 0.296
42 O 0.068 0.584 0.804
43 O 0.068 0.801 0.055
44 O 0.082 0.810 0.804
45 O 0.084 0.834 0.525
46 O 0.085 0.564 0.302
47 O 0.111 0.131 0.534
48 O 0.131 0.534 0.111
49 O 0.194 0.328 0.044
50 O 0.199 0.288 0.838
51 O 0.242 0.242 0.242
52 O 0.274 0.832 0.538
53 O 0.288 0.838 0.199
54 O 0.296 0.060 0.804
55 O 0.302 0.085 0.564
56 O 0.304 0.569 0.554
57 O 0.305 0.310 0.573
58 O 0.307 0.558 0.795
59 O 0.310 0.573 0.305
60 O 0.328 0.044 0.194
61 O 0.333 0.771 0.038
62 O 0.335 0.582 0.022
63 O 0.377 0.761 0.686
64 O 0.525 0.084 0.834
65 O 0.534 0.111 0.131
66 O 0.538 0.274 0.832
67 O 0.538 0.824 0.683
68 O 0.554 0.304 0.569
69 O 0.558 0.795 0.307
70 O 0.564 0.302 0.085
71 O 0.569 0.554 0.304
72 O 0.573 0.305 0.310
73 O 0.582 0.022 0.335
74 O 0.584 0.804 0.068
75 O 0.609 0.040 0.630
76 O 0.630 0.609 0.040
77 O 0.683 0.538 0.824
78 O 0.686 0.377 0.761
79 O 0.746 0.746 0.746
80 O 0.761 0.686 0.377
81 O 0.771 0.038 0.333
82 O 0.795 0.307 0.558
83 O 0.801 0.055 0.068
84 O 0.804 0.068 0.584
85 O 0.804 0.082 0.810
86 O 0.804 0.296 0.060
87 O 0.810 0.804 0.082
88 O 0.824 0.683 0.538
89 O 0.832 0.538 0.274
90 O 0.834 0.525 0.084
91 O 0.838 0.199 0.288

6.
VASP calculation (GGA+U) on a relaxed Sr2CaCrO6 crystal.

Output
Energy with MP2020 corrections: -70.5 eV for the cell shown

Cell: 5.767 5.767 5.767 Å, 60.00 60.00 60.00°
Atoms (fractional coordinates):
1 Sr 0.250 0.250 0.250
2 Sr 0.750 0.750 0.750
3 Ca 0.000 0.000 0.000
4 Cr 0.500 0.500 0.500
5 O 0.274 0.274 0.726
6 O 0.274 0.726 0.274
7 O 0.274 0.726 0.726
8 O 0.726 0.274 0.274
9 O 0.726 0.274 0.726
10 O 0.726 0.726 0.274

What did we get for ΔH_f (0 K)? Answer: -3.067, -3.049, -3.158, -2.538, -2.650, -2.577 eV/atom, in the order shown.